First-principles (GGA-PBE) data for a geometry-optimized Cr8Fe2CuNiS16 structure, as listed in the Materials Project database.

Cell: 11.925 11.925 11.925 Å, 33.53 33.53 33.53°
Element x y z (fractional)
Cr: 0.000 0.000 0.000
Cr: 0.247 0.247 0.751
Cr: 0.247 0.751 0.247
Cr: 0.252 0.748 0.748
Cr: 0.499 0.499 0.499
Cr: 0.748 0.252 0.748
Cr: 0.748 0.748 0.252
Cr: 0.751 0.247 0.247
Fe: 0.311 0.311 0.311
Fe: 0.811 0.811 0.811
Cu: 0.186 0.186 0.186
Ni: 0.686 0.686 0.686
S: 0.119 0.119 0.632
S: 0.119 0.632 0.119
S: 0.120 0.120 0.120
S: 0.132 0.619 0.619
S: 0.362 0.881 0.881
S: 0.375 0.375 0.375
S: 0.386 0.386 0.854
S: 0.386 0.854 0.386
S: 0.619 0.132 0.619
S: 0.619 0.619 0.132
S: 0.622 0.622 0.622
S: 0.632 0.119 0.119
S: 0.854 0.386 0.386
S: 0.876 0.876 0.876
S: 0.881 0.362 0.881
S: 0.881 0.881 0.362

Calculated values
Energy of formation, meV per atom: -869
V, A^3/atom: 16.46
Energy with MP2020 corrections, Ry/atom: -0.51069
Final energy, eV/atom: -6.661
Space group: No. 160

=====

First-principles (GGA-PBE) data for a geometry-optimized Li2B3PO8 structure, as listed in the Materials Project database.

Cell: 8.786 10.842 13.077 Å, 90.72 90.59 90.07°
Element x y z (fractional)
Li: 0.064 0.458 0.086
Li: 0.137 0.958 0.491
Li: 0.240 0.440 0.673
Li: 0.245 0.956 0.171
Li: 0.263 0.670 0.896
Li: 0.282 0.222 0.461
Li: 0.365 0.728 0.236
Li: 0.380 0.155 0.786
Li: 0.620 0.845 0.214
Li: 0.635 0.272 0.764
Li: 0.718 0.778 0.539
Li: 0.737 0.330 0.104
Li: 0.755 0.044 0.829
Li: 0.760 0.560 0.327
Li: 0.863 0.042 0.509
Li: 0.936 0.542 0.914
B: 0.044 0.882 0.840
B: 0.054 0.414 0.379
B: 0.091 0.615 0.293
B: 0.106 0.105 0.852
B: 0.190 0.696 0.577
B: 0.199 0.240 0.148
B: 0.300 0.945 0.886
B: 0.310 0.488 0.355
B: 0.381 0.390 0.074
B: 0.407 0.841 0.557
B: 0.447 0.620 0.601
B: 0.452 0.173 0.106
B: 0.548 0.827 0.894
B: 0.553 0.380 0.399
B: 0.593 0.159 0.443
B: 0.619 0.610 0.926
B: 0.690 0.512 0.645
B: 0.700 0.055 0.114
B: 0.801 0.760 0.852
B: 0.810 0.304 0.423
B: 0.894 0.895 0.148
B: 0.909 0.385 0.707
B: 0.946 0.586 0.621
B: 0.956 0.118 0.160
P: 0.091 0.708 0.093
P: 0.092 0.192 0.643
P: 0.402 0.434 0.863
P: 0.422 0.971 0.373
P: 0.578 0.029 0.627
P: 0.598 0.566 0.137
P: 0.908 0.808 0.357
P: 0.909 0.292 0.907
O: 0.005 0.481 0.662
O: 0.005 0.999 0.160
O: 0.035 0.680 0.584
O: 0.048 0.202 0.920
O: 0.051 0.217 0.177
O: 0.052 0.080 0.579
O: 0.054 0.610 0.180
O: 0.063 0.738 0.335
O: 0.097 0.626 0.997
O: 0.156 0.152 0.752
O: 0.198 0.851 0.858
O: 0.211 0.394 0.385
O: 0.212 0.277 0.600
O: 0.234 0.782 0.120
O: 0.240 0.359 0.133
O: 0.243 0.811 0.558
O: 0.251 0.063 0.898
O: 0.255 0.592 0.310
O: 0.282 0.045 0.403
O: 0.290 0.597 0.590
O: 0.296 0.525 0.810
O: 0.302 0.143 0.135
O: 0.327 0.398 0.968
O: 0.415 0.907 0.267
O: 0.431 0.945 0.629
O: 0.432 0.320 0.799
O: 0.438 0.507 0.112
O: 0.451 0.925 0.900
O: 0.457 0.866 0.452
O: 0.464 0.480 0.374
O: 0.496 0.265 0.411
O: 0.497 0.290 0.086
O: 0.503 0.710 0.914
O: 0.504 0.735 0.589
O: 0.536 0.520 0.626
O: 0.543 0.134 0.548
O: 0.549 0.075 0.100
O: 0.562 0.493 0.888
O: 0.568 0.680 0.201
O: 0.569 0.055 0.371
O: 0.585 0.093 0.733
O: 0.673 0.602 0.032
O: 0.698 0.857 0.865
O: 0.704 0.475 0.190
O: 0.710 0.403 0.410
O: 0.718 0.955 0.597
O: 0.745 0.408 0.690
O: 0.749 0.937 0.102
O: 0.757 0.189 0.442
O: 0.760 0.641 0.867
O: 0.766 0.218 0.880
O: 0.788 0.723 0.400
O: 0.789 0.606 0.615
O: 0.802 0.149 0.142
O: 0.844 0.848 0.248
O: 0.903 0.374 0.003
O: 0.937 0.262 0.665
O: 0.946 0.390 0.820
O: 0.948 0.920 0.421
O: 0.949 0.783 0.823
O: 0.952 0.798 0.080
O: 0.965 0.320 0.416
O: 0.995 0.001 0.840
O: 0.995 0.519 0.338

Calculated values
Energy of formation, meV per atom: -2793
V, A^3/atom: 11.12
Energy with MP2020 corrections, Ry/atom: -0.56674
Final energy, eV/atom: -7.318
Space group: No. 2

=====

First-principles (GGA-PBE) data for a geometry-optimized HoAsS structure, as listed in the Materials Project database.

Cell: 3.813 3.829 8.484 Å, 90.00 90.00 90.00°
Element x y z (fractional)
Ho: 0.250 0.250 0.209
Ho: 0.750 0.750 0.791
As: 0.250 0.750 0.496
As: 0.750 0.250 0.504
S: 0.250 0.250 0.874
S: 0.750 0.750 0.126

Calculated values
Energy of formation, meV per atom: -1704
V, A^3/atom: 20.64
Energy with MP2020 corrections, Ry/atom: -0.45300
Final energy, eV/atom: -5.996
Space group: No. 59

=====

First-principles (GGA-PBE) data for a geometry-optimized Ca2S3N2O12 structure, as listed in the Materials Project database.

Cell: 10.832 10.832 10.832 Å, 90.00 90.00 90.00°
Element x y z (fractional)
Ca: 0.103 0.103 0.103
Ca: 0.165 0.335 0.665
Ca: 0.335 0.665 0.165
Ca: 0.397 0.897 0.603
Ca: 0.603 0.397 0.897
Ca: 0.665 0.165 0.335
Ca: 0.835 0.835 0.835
Ca: 0.897 0.603 0.397
S: 0.016 0.782 0.125
S: 0.125 0.016 0.782
S: 0.218 0.625 0.484
S: 0.282 0.375 0.984
S: 0.375 0.984 0.282
S: 0.484 0.218 0.625
S: 0.516 0.718 0.875
S: 0.625 0.484 0.218
S: 0.718 0.875 0.516
S: 0.782 0.125 0.016
S: 0.875 0.516 0.718
S: 0.984 0.282 0.375
N: 0.048 0.952 0.452
N: 0.183 0.683 0.817
N: 0.317 0.317 0.317
N: 0.452 0.048 0.952
N: 0.548 0.548 0.548
N: 0.683 0.817 0.183
N: 0.817 0.183 0.683
N: 0.952 0.452 0.048
O: 0.009 0.945 0.770
O: 0.010 0.914 0.165
O: 0.036 0.200 0.280
O: 0.055 0.270 0.491
O: 0.086 0.665 0.490
O: 0.102 0.148 0.751
O: 0.148 0.751 0.102
O: 0.165 0.010 0.914
O: 0.200 0.280 0.036
O: 0.220 0.964 0.700
O: 0.230 0.509 0.555
O: 0.249 0.602 0.352
O: 0.251 0.398 0.852
O: 0.270 0.491 0.055
O: 0.280 0.036 0.200
O: 0.300 0.720 0.536
O: 0.335 0.990 0.414
O: 0.352 0.249 0.602
O: 0.398 0.852 0.251
O: 0.414 0.335 0.990
O: 0.445 0.730 0.991
O: 0.464 0.800 0.780
O: 0.490 0.086 0.665
O: 0.491 0.055 0.270
O: 0.509 0.555 0.230
O: 0.510 0.586 0.835
O: 0.536 0.300 0.720
O: 0.555 0.230 0.509
O: 0.586 0.835 0.510
O: 0.602 0.352 0.249
O: 0.648 0.749 0.898
O: 0.665 0.490 0.086
O: 0.700 0.220 0.964
O: 0.720 0.536 0.300
O: 0.730 0.991 0.445
O: 0.749 0.898 0.648
O: 0.751 0.102 0.148
O: 0.770 0.009 0.945
O: 0.780 0.464 0.800
O: 0.800 0.780 0.464
O: 0.835 0.510 0.586
O: 0.852 0.251 0.398
O: 0.898 0.648 0.749
O: 0.914 0.165 0.010
O: 0.945 0.770 0.009
O: 0.964 0.700 0.220
O: 0.990 0.414 0.335
O: 0.991 0.445 0.730

Calculated values
Energy of formation, meV per atom: -1447
V, A^3/atom: 16.72
Energy with MP2020 corrections, Ry/atom: -0.46404
Final energy, eV/atom: -5.880
Space group: No. 198

=====

First-principles (GGA-PBE) data for a geometry-optimized CdO structure, as listed in the Materials Project database.

Cell: 3.684 3.684 5.825 Å, 90.00 90.00 120.00°
Element x y z (fractional)
Cd: 0.333 0.667 0.000
Cd: 0.667 0.333 0.500
O: 0.333 0.667 0.386
O: 0.667 0.333 0.886

Calculated values
Energy of formation, meV per atom: -1357
V, A^3/atom: 17.12
Energy with MP2020 corrections, Ry/atom: -0.31552
Final energy, eV/atom: -3.949
Space group: No. 186

=====

First-principles (GGA-PBE) data for a geometry-optimized Ta3Mn8Al structure, as listed in the Materials Project database.

Cell: 4.772 4.772 7.875 Å, 90.00 90.00 120.00°
Element x y z (fractional)
Ta: 0.000 0.000 0.000
Ta: 0.000 0.000 0.377
Ta: 0.667 0.333 0.517
Mn: 0.162 0.323 0.693
Mn: 0.162 0.838 0.693
Mn: 0.333 0.667 0.436
Mn: 0.333 0.667 0.940
Mn: 0.507 0.014 0.191
Mn: 0.507 0.493 0.191
Mn: 0.677 0.838 0.693
Mn: 0.986 0.493 0.191
Al: 0.667 0.333 0.879

Calculated values
Energy of formation, meV per atom: -242
V, A^3/atom: 12.94
Final energy, eV/atom: -9.627
Space group: No. 156

=====

Q: energy of formation of number 1 (Cr8Fe2CuNiS16)?
A: -869 meV per atom

=====

Q: Which formula does entry 3 have?
A: HoAsS

=====

Q: Look up the V of the sixth one.
A: 12.94 A^3/atom

=====

Q: What is the energy of formation in the sixth record?
A: -242 meV per atom